Below is crystalline PrTlP2Se6 at its relaxed geometry, with properties calculated at the GGA-PBE level.

Cell lengths 12.5364, 7.8329, 12.0422 Å; angles 90.00, 109.44, 90.00 degrees
Last column: nearest neighbours and their distance in Å.
Space group P2_1/c (No. 14)
One atom of each set of equivalent atoms:
Pr  0.1499  0.1030  0.4051 x4  9 Se 3.10-3.46
Tl  0.3733  0.5878  0.6252 x4  7 Se 3.33-3.52
P  0.1780  0.5965  0.2451 x4  3 Se 2.21-2.23, 1 P 2.25
P  0.2917  0.1189  0.7311 x4  3 Se 2.19-2.22, 1 P 2.25
Se  0.0522  0.0265  0.8142 x4  1 P 2.23
Se  0.0913  0.6927  0.0634 x4  1 P 2.23
Se  0.1715  0.1856  0.1310 x4  1 P 2.20
Se  0.2885  0.7099  0.8606 x4  1 P 2.21
Se  0.3717  0.2154  0.9129 x4  1 P 2.22
Se  0.3924  0.0180  0.6284 x4  1 P 2.19

Computed properties:
M_tot, μB/f.u.: 0.000
E, eV/atom: -4.547